Version 1
Li3Mn2P3O12: relaxed, PBE+U.

Unit cell a=8.681 b=8.681 c=8.874 alpha=119.70 beta=119.70 gamma=60.61
Positions (direct):
Li 0.072 0.928 0.500
Li 0.217 0.543 0.028
Li 0.543 0.217 0.528
Li 0.555 0.810 0.453
Li 0.810 0.555 0.953
Li 0.928 0.072 0.000
Mn 0.031 0.542 0.344
Mn 0.330 0.834 0.055
Mn 0.542 0.031 0.844
Mn 0.834 0.330 0.555
P 0.133 0.230 0.930
P 0.230 0.133 0.430
P 0.425 0.657 0.665
P 0.657 0.425 0.165
P 0.715 0.926 0.244
P 0.926 0.715 0.744
O 0.083 0.151 0.491
O 0.098 0.431 0.072
O 0.112 0.733 0.905
O 0.151 0.083 0.991
O 0.190 0.305 0.389
O 0.225 0.669 0.522
O 0.226 0.953 0.252
O 0.305 0.190 0.889
O 0.431 0.098 0.572
O 0.434 0.710 0.862
O 0.461 0.568 0.122
O 0.470 0.805 0.655
O 0.564 0.888 0.254
O 0.568 0.461 0.622
O 0.669 0.225 0.022
O 0.674 0.921 0.055
O 0.710 0.434 0.362
O 0.733 0.112 0.405
O 0.773 0.911 0.786
O 0.805 0.470 0.155
O 0.888 0.564 0.754
O 0.911 0.773 0.286
O 0.921 0.674 0.555
O 0.953 0.226 0.752

Computed properties:
Total magnetic moment, μB/cell: 16.00



Version 2
Li3Mn2P3O12: relaxed, PBE+U.

Unit cell a=9.156 b=9.156 c=16.562 alpha=115.39 beta=115.39 gamma=56.34
Positions (direct):
Li 0.000 0.500 0.000
Li 0.002 0.760 0.342
Li 0.139 0.861 0.750
Li 0.240 0.998 0.158
Li 0.266 0.437 0.428
Li 0.437 0.266 0.928
Li 0.500 0.000 0.500
Li 0.563 0.734 0.072
Li 0.734 0.563 0.572
Li 0.760 0.002 0.842
Li 0.861 0.139 0.250
Li 0.998 0.240 0.658
Mn 0.210 0.714 0.969
Mn 0.286 0.790 0.531
Mn 0.294 0.361 0.665
Mn 0.361 0.294 0.165
Mn 0.639 0.706 0.835
Mn 0.706 0.639 0.335
Mn 0.714 0.210 0.469
Mn 0.790 0.286 0.031
P 0.043 0.550 0.806
P 0.093 0.162 0.473
P 0.162 0.093 0.973
P 0.450 0.957 0.694
P 0.476 0.521 0.132
P 0.479 0.524 0.368
P 0.521 0.476 0.632
P 0.524 0.479 0.868
P 0.550 0.043 0.306
P 0.838 0.907 0.027
P 0.907 0.838 0.527
P 0.957 0.450 0.194
O 0.001 0.750 0.827
O 0.010 0.175 0.374
O 0.029 0.742 0.018
O 0.042 0.805 0.479
O 0.088 0.429 0.710
O 0.108 0.475 0.193
O 0.173 0.301 0.533
O 0.175 0.010 0.874
O 0.195 0.958 0.021
O 0.214 0.477 0.889
O 0.250 0.999 0.673
O 0.258 0.971 0.482
O 0.292 0.606 0.384
O 0.301 0.173 0.033
O 0.322 0.490 0.128
O 0.363 0.561 0.551
O 0.365 0.511 0.780
O 0.394 0.708 0.116
O 0.429 0.088 0.210
O 0.439 0.637 0.949
O 0.475 0.108 0.693
O 0.477 0.214 0.389
O 0.489 0.635 0.720
O 0.490 0.322 0.628
O 0.510 0.678 0.372
O 0.511 0.365 0.280
O 0.523 0.786 0.611
O 0.525 0.892 0.307
O 0.561 0.363 0.051
O 0.571 0.912 0.790
O 0.606 0.292 0.884
O 0.635 0.489 0.220
O 0.637 0.439 0.449
O 0.678 0.510 0.872
O 0.699 0.827 0.967
O 0.708 0.394 0.616
O 0.742 0.029 0.518
O 0.750 0.001 0.327
O 0.786 0.523 0.111
O 0.805 0.042 0.979
O 0.825 0.990 0.126
O 0.827 0.699 0.467
O 0.892 0.525 0.807
O 0.912 0.571 0.290
O 0.958 0.195 0.521
O 0.971 0.258 0.982
O 0.990 0.825 0.626
O 0.999 0.250 0.173

Computed properties:
Total magnetic moment, μB/cell: 32.00



Version 3
Li3Mn2P3O12: relaxed, PBE+U.

Unit cell a=8.675 b=8.711 c=12.221 alpha=90.00 beta=94.04 gamma=90.00
Positions (direct):
Li 0.000 0.000 0.000
Li 0.000 0.000 0.500
Li 0.000 0.084 0.250
Li 0.000 0.916 0.750
Li 0.193 0.303 0.551
Li 0.193 0.697 0.051
Li 0.500 0.412 0.250
Li 0.500 0.500 0.000
Li 0.500 0.500 0.500
Li 0.500 0.588 0.750
Li 0.807 0.303 0.949
Li 0.807 0.697 0.449
Mn 0.216 0.497 0.357
Mn 0.216 0.503 0.857
Mn 0.291 0.004 0.146
Mn 0.291 0.996 0.646
Mn 0.709 0.004 0.354
Mn 0.709 0.996 0.854
Mn 0.784 0.497 0.143
Mn 0.784 0.503 0.643
P 0.000 0.217 0.750
P 0.000 0.783 0.250
P 0.151 0.349 0.099
P 0.151 0.651 0.599
P 0.340 0.145 0.395
P 0.340 0.855 0.895
P 0.500 0.292 0.750
P 0.500 0.708 0.250
P 0.660 0.145 0.105
P 0.660 0.855 0.605
P 0.849 0.349 0.401
P 0.849 0.651 0.901
O 0.024 0.378 0.416
O 0.024 0.622 0.916
O 0.064 0.112 0.661
O 0.064 0.888 0.161
O 0.122 0.317 0.812
O 0.122 0.683 0.312
O 0.163 0.171 0.084
O 0.163 0.829 0.584
O 0.227 0.403 0.211
O 0.227 0.597 0.711
O 0.240 0.097 0.291
O 0.240 0.903 0.791
O 0.246 0.093 0.493
O 0.246 0.439 0.017
O 0.246 0.561 0.517
O 0.246 0.907 0.993
O 0.351 0.326 0.408
O 0.351 0.674 0.908
O 0.367 0.194 0.696
O 0.367 0.806 0.196
O 0.445 0.400 0.840
O 0.445 0.600 0.340
O 0.496 0.091 0.106
O 0.496 0.909 0.606
O 0.504 0.091 0.394
O 0.504 0.909 0.894
O 0.555 0.400 0.660
O 0.555 0.600 0.160
O 0.633 0.194 0.804
O 0.633 0.806 0.304
O 0.649 0.326 0.092
O 0.649 0.674 0.592
O 0.754 0.093 0.007
O 0.754 0.439 0.483
O 0.754 0.561 0.983
O 0.754 0.907 0.507
O 0.760 0.097 0.209
O 0.760 0.903 0.709
O 0.773 0.403 0.289
O 0.773 0.597 0.789
O 0.837 0.171 0.416
O 0.837 0.829 0.916
O 0.878 0.317 0.688
O 0.878 0.683 0.188
O 0.936 0.112 0.839
O 0.936 0.888 0.339
O 0.976 0.378 0.084
O 0.976 0.622 0.584

Computed properties:
Total magnetic moment, μB/cell: 32.00



Version 4
Li3Mn2P3O12: relaxed, PBE+U.

Unit cell a=8.658 b=12.121 c=8.936 alpha=90.00 beta=90.00 gamma=90.00
Positions (direct):
Li 0.019 0.185 0.053
Li 0.023 0.318 0.532
Li 0.184 0.214 0.803
Li 0.316 0.714 0.197
Li 0.477 0.818 0.468
Li 0.481 0.685 0.947
Li 0.519 0.315 0.947
Li 0.523 0.182 0.468
Li 0.684 0.286 0.197
Li 0.816 0.786 0.803
Li 0.977 0.682 0.532
Li 0.981 0.815 0.053
Mn 0.206 0.389 0.012
Mn 0.210 0.112 0.498
Mn 0.290 0.612 0.502
Mn 0.294 0.889 0.988
Mn 0.706 0.111 0.988
Mn 0.710 0.388 0.502
Mn 0.790 0.888 0.498
Mn 0.794 0.611 0.012
P 0.000 0.000 0.804
P 0.000 0.500 0.302
P 0.139 0.646 0.857
P 0.143 0.854 0.357
P 0.357 0.354 0.643
P 0.361 0.146 0.143
P 0.500 0.000 0.698
P 0.500 0.500 0.196
P 0.639 0.854 0.143
P 0.643 0.646 0.643
P 0.857 0.146 0.357
P 0.861 0.354 0.857
O 0.019 0.179 0.418
O 0.027 0.316 0.915
O 0.091 0.921 0.912
O 0.093 0.579 0.408
O 0.105 0.425 0.211
O 0.106 0.076 0.714
O 0.140 0.666 0.688
O 0.146 0.836 0.186
O 0.171 0.527 0.900
O 0.185 0.971 0.402
O 0.232 0.272 0.583
O 0.239 0.219 0.059
O 0.261 0.719 0.941
O 0.268 0.772 0.417
O 0.315 0.471 0.598
O 0.329 0.027 0.100
O 0.354 0.336 0.814
O 0.360 0.166 0.312
O 0.394 0.576 0.286
O 0.395 0.925 0.789
O 0.407 0.079 0.592
O 0.409 0.421 0.088
O 0.473 0.816 0.085
O 0.481 0.679 0.582
O 0.519 0.321 0.582
O 0.527 0.184 0.085
O 0.591 0.579 0.088
O 0.593 0.921 0.592
O 0.605 0.075 0.789
O 0.606 0.424 0.286
O 0.640 0.834 0.312
O 0.646 0.664 0.814
O 0.671 0.973 0.100
O 0.685 0.529 0.598
O 0.732 0.228 0.417
O 0.739 0.281 0.941
O 0.761 0.781 0.059
O 0.768 0.728 0.583
O 0.815 0.029 0.402
O 0.829 0.473 0.900
O 0.854 0.164 0.186
O 0.860 0.334 0.688
O 0.894 0.924 0.714
O 0.895 0.575 0.211
O 0.907 0.421 0.408
O 0.909 0.079 0.912
O 0.973 0.684 0.915
O 0.981 0.821 0.418

Computed properties:
Total magnetic moment, μB/cell: 32.00



So which one is most stable? That would be version 4, about 15 meV per atom below the next structure.



Version 1
Li2VO2F2: relaxed, PBE+U.

Unit cell a=5.762 b=5.961 c=10.262 alpha=74.93 beta=73.77 gamma=61.15
Positions (direct):
Li 0.000 0.000 0.000
Li 0.059 0.569 0.311
Li 0.252 0.750 0.750
Li 0.438 0.931 0.190
Li 0.500 0.500 0.500
Li 0.561 0.069 0.811
Li 0.747 0.250 0.250
Li 0.940 0.431 0.690
V 0.000 0.000 0.500
V 0.000 0.500 0.001
V 0.500 0.000 0.500
V 0.501 0.499 0.000
O 0.124 0.614 0.106
O 0.160 0.102 0.610
O 0.343 0.886 0.394
O 0.372 0.398 0.890
O 0.628 0.602 0.110
O 0.656 0.114 0.606
O 0.839 0.898 0.390
O 0.876 0.386 0.894
F 0.106 0.150 0.118
F 0.125 0.650 0.618
F 0.374 0.851 0.884
F 0.390 0.351 0.384
F 0.609 0.649 0.616
F 0.626 0.149 0.116
F 0.874 0.350 0.382
F 0.893 0.850 0.883

Computed properties:
Total magnetic moment, μB/cell: 4.00



Version 2
Li2VO2F2: relaxed, PBE+U.

Unit cell a=5.977 b=5.977 c=5.977 alpha=122.48 beta=120.66 gamma=87.31
Positions (direct):
Li 0.000 0.000 0.000
Li 0.379 0.629 0.750
Li 0.500 0.000 0.500
Li 0.621 0.371 0.250
V 0.000 0.000 0.500
V 0.000 0.500 0.000
O 0.210 0.247 0.964
O 0.217 0.753 0.464
O 0.783 0.247 0.536
O 0.790 0.753 0.036
F 0.235 0.226 0.491
F 0.235 0.743 0.009
F 0.765 0.257 0.991
F 0.765 0.774 0.509

Computed properties:
Total magnetic moment, μB/cell: 2.00



Version 3
Li2VO2F2: relaxed, PBE+U.

Unit cell a=5.849 b=5.974 c=10.165 alpha=73.40 beta=89.97 gamma=60.71
Positions (direct):
Li 0.000 0.000 0.000
Li 0.020 0.000 0.500
Li 0.261 0.998 0.260
Li 0.464 0.593 0.821
Li 0.501 0.999 0.501
Li 0.521 0.000 0.000
Li 0.761 0.998 0.759
Li 0.964 0.593 0.321
V 0.018 0.484 0.007
V 0.074 0.372 0.691
V 0.518 0.484 0.507
V 0.574 0.374 0.191
O 0.132 0.257 0.875
O 0.380 0.258 0.126
O 0.384 0.257 0.625
O 0.403 0.715 0.133
O 0.631 0.259 0.375
O 0.880 0.257 0.626
O 0.883 0.258 0.125
O 0.904 0.713 0.634
F 0.124 0.735 0.886
F 0.155 0.211 0.384
F 0.160 0.737 0.386
F 0.390 0.740 0.619
F 0.623 0.736 0.386
F 0.655 0.211 0.883
F 0.662 0.736 0.886
F 0.890 0.741 0.119

Computed properties:
Total magnetic moment, μB/cell: 4.00



So which one is most stable? That would be version 3, about 24 meV per atom below the next structure.